Entry 1:
This record from Materials Project describes a geometry-optimized Li6Bi2O7 structure. The functional is PBE-GGA.

a = 5.593 Å, b = 6.308 Å, c = 10.891 Å
α = 90.00°, β = 109.37°, γ = 90.00°
Positions (direct):
Li1 0.155 0.009 0.121
Li2 0.155 0.491 0.621
Li3 0.202 0.215 0.351
Li4 0.202 0.285 0.851
Li5 0.214 0.740 0.860
Li6 0.214 0.760 0.360
Li7 0.786 0.240 0.640
Li8 0.786 0.260 0.140
Li9 0.798 0.715 0.149
Li10 0.798 0.785 0.649
Li11 0.845 0.509 0.379
Li12 0.845 0.991 0.879
Bi1 0.270 0.010 0.632
Bi2 0.270 0.490 0.132
Bi3 0.730 0.510 0.868
Bi4 0.730 0.990 0.368
O1 0.020 0.748 0.006
O2 0.020 0.752 0.506
O3 0.030 0.014 0.754
O4 0.030 0.486 0.254
O5 0.464 0.198 0.225
O6 0.464 0.302 0.725
O7 0.500 0.000 0.500
O8 0.500 0.500 0.000
O9 0.536 0.698 0.275
O10 0.536 0.802 0.775
O11 0.970 0.514 0.746
O12 0.970 0.986 0.246
O13 0.980 0.248 0.494
O14 0.980 0.252 0.994

As for the total energy: -5.18 eV per atom. The value obtained for the formation energy is -2761 kJ/mol of formula units.

Entry 2:
This record from Materials Project describes a geometry-optimized PmNi3 structure. The functional is PBE-GGA.

a = 5.843 Å, b = 5.843 Å, c = 4.235 Å
α = 90.00°, β = 90.00°, γ = 120.00°
Positions (direct):
Pm1 0.333 0.667 0.250
Pm2 0.667 0.333 0.750
Ni1 0.140 0.281 0.750
Ni2 0.140 0.860 0.750
Ni3 0.281 0.140 0.250
Ni4 0.719 0.860 0.750
Ni5 0.860 0.140 0.250
Ni6 0.860 0.719 0.250

As for the total energy: -5.72 eV per atom. The value obtained for the formation energy is -75 kJ/mol of formula units.

Entry 3:
This record from Materials Project describes a geometry-optimized K2Te4O9 structure. The functional is PBE-GGA.

a = 7.744 Å, b = 18.125 Å, c = 8.183 Å
α = 90.00°, β = 106.96°, γ = 90.00°
Positions (direct):
K1 0.129 0.090 0.135
K2 0.129 0.410 0.635
K3 0.159 0.747 0.129
K4 0.159 0.753 0.629
K5 0.841 0.247 0.371
K6 0.841 0.253 0.871
K7 0.871 0.590 0.365
K8 0.871 0.910 0.865
Te1 0.178 0.092 0.675
Te2 0.178 0.408 0.175
Te3 0.352 0.578 0.347
Te4 0.352 0.922 0.847
Te5 0.377 0.241 0.960
Te6 0.377 0.259 0.460
Te7 0.399 0.582 0.914
Te8 0.399 0.918 0.414
Te9 0.601 0.082 0.586
Te10 0.601 0.418 0.086
Te11 0.623 0.741 0.540
Te12 0.623 0.759 0.040
Te13 0.648 0.078 0.153
Te14 0.648 0.422 0.653
Te15 0.822 0.592 0.825
Te16 0.822 0.908 0.325
O1 0.129 0.159 0.832
O2 0.129 0.341 0.332
O3 0.163 0.006 0.827
O4 0.163 0.494 0.327
O5 0.198 0.201 0.515
O6 0.198 0.299 0.015
O7 0.203 0.646 0.408
O8 0.203 0.854 0.908
O9 0.260 0.590 0.099
O10 0.260 0.910 0.599
O11 0.387 0.055 0.417
O12 0.387 0.445 0.917
O13 0.412 0.691 0.922
O14 0.412 0.809 0.422
O15 0.438 0.087 0.762
O16 0.438 0.413 0.262
O17 0.442 0.176 0.150
O18 0.442 0.324 0.650
O19 0.558 0.676 0.350
O20 0.558 0.824 0.850
O21 0.562 0.587 0.738
O22 0.562 0.913 0.238
O23 0.588 0.191 0.578
O24 0.588 0.309 0.078
O25 0.613 0.555 0.083
O26 0.613 0.945 0.583
O27 0.740 0.090 0.401
O28 0.740 0.410 0.901
O29 0.797 0.146 0.092
O30 0.797 0.354 0.592
O31 0.802 0.701 0.985
O32 0.802 0.799 0.485
O33 0.837 0.506 0.673
O34 0.837 0.994 0.173
O35 0.871 0.659 0.668
O36 0.871 0.841 0.168

As for the total energy: -5.23 eV per atom. The value obtained for the formation energy is -2435 kJ/mol of formula units.

Number 1: mass density 5.2 g/cm3. Number 2: mass density 8.5 g/cm3. Number 3: mass density 4.4 g/cm3.